(1)
## TiO2 (PBE-GGA)

Data for a relaxed structure of TiO2.

## Properties
- energy relative to the elements (meV per atom) = -3440.6
- uncorrected energy (eV per atom) = -8.913
- volume (A^3/atom) = 13.24

Unit cell a=10.3189 b=10.3189 c=2.9839 alpha=90.00 beta=90.00 gamma=90.00
With the nearest neighbours (Å) after each atom.
Space group I4/m (No. 87)
One atom of each set of equivalent atoms:
Ti (0.1439, 0.6726, 0.0000) (multiplicity 8)  6 O 1.90-2.10
O (0.0397, 0.3357, 0.0000) (multiplicity 8)  3 Ti 1.90-2.04
O (0.1564, 0.7888, 0.5000) (multiplicity 8)  3 Ti 1.92-2.10

(2)
## TiO2 (PBE-GGA)

Data for a relaxed structure of TiO2.

## Properties
- largest piezoelectric modulus (C/m²) = 0.10
- energy relative to the elements (meV per atom) = -3452.5
- uncorrected energy (eV per atom) = -8.925
- volume (A^3/atom) = 18.60

Unit cell a=5.6163 b=5.6163 c=6.1268 alpha=90.00 beta=90.00 gamma=120.00
With the nearest neighbours (Å) after each atom.
Space group P3_121 (No. 152)
One atom of each set of equivalent atoms:
Ti (0.0000, 0.4667, 0.1667) (multiplicity 3)  4 O 1.83
O (0.1488, 0.7290, 0.9541) (multiplicity 6)  2 Ti 1.83

(3)
## Ti3O5 (PBE-GGA)

Data for a relaxed structure of Ti3O5.

## Properties
- energy relative to the elements (meV per atom) = -3184.9
- uncorrected energy (eV per atom) = -8.809
- volume (A^3/atom) = 11.82
- total magnetization (μB per atom) = 0.04

Unit cell a=10.0630 b=10.6873 c=11.4737 alpha=89.52 beta=86.62 gamma=86.68
With the nearest neighbours (Å) after each atom.
Space group P1 (No. 1)
One atom of each set of equivalent atoms:
Ti (0.0000, 0.0000, 0.0000) (multiplicity 1)  5 O 1.96-2.18
Ti (0.0078, 0.6258, 0.3472) (multiplicity 1)  4 O 1.83-2.01
Ti (0.0319, 0.0728, 0.6674) (multiplicity 1)  5 O 1.90-2.07
Ti (0.0360, 0.2165, 0.8588) (multiplicity 1)  6 O 1.92-2.14
Ti (0.0628, 0.4833, 0.8455) (multiplicity 1)  4 O 1.76-1.88
Ti (0.0743, 0.2492, 0.0900) (multiplicity 1)  4 O 1.85-2.03
Ti (0.0803, 0.8786, 0.4453) (multiplicity 1)  4 O 1.93-2.01
Ti (0.0965, 0.9511, 0.2199) (multiplicity 1)  6 O 2.05-2.21
Ti (0.1104, 0.7164, 0.0548) (multiplicity 1)  5 O 1.96-2.18
Ti (0.2713, 0.1628, 0.4437) (multiplicity 1)  2 O 1.78-1.83
Ti (0.2850, 0.4815, 0.2444) (multiplicity 1)  5 O 1.92-2.05
Ti (0.3143, 0.4034, 0.0166) (multiplicity 1)  6 O 1.93-2.13
Ti (0.3204, 0.8719, 0.5212) (multiplicity 1)  4 O 1.88-2.07
Ti (0.3371, 0.0902, 0.6975) (multiplicity 1)  6 O 1.91-2.11
Ti (0.3441, 0.0390, 0.0061) (multiplicity 1)  4 O 1.95-2.13
Ti (0.3559, 0.6027, 0.7750) (multiplicity 1)  6 O 1.89-2.11
Ti (0.3587, 0.6030, 0.5023) (multiplicity 1)  4 O 1.80-2.01
Ti (0.3727, 0.9174, 0.2405) (multiplicity 1)  6 O 2.00-2.12
Ti (0.4046, 0.7134, 0.0661) (multiplicity 1)  5 O 1.93-2.11
Ti (0.4377, 0.8312, 0.8047) (multiplicity 1)  5 O 1.99-2.20
Ti (0.4687, 0.2114, 0.1684) (multiplicity 1)  5 O 1.88-2.10
Ti (0.4891, 0.3363, 0.6345) (multiplicity 1)  3 O 1.79-1.99
Ti (0.5597, 0.2320, 0.8704) (multiplicity 1)  3 O 1.87-1.95
Ti (0.5661, 0.8151, 0.5442) (multiplicity 1)  5 O 1.93-2.15
Ti (0.5711, 0.6338, 0.2815) (multiplicity 1)  4 O 1.87-1.94
Ti (0.6080, 0.5244, 0.8862) (multiplicity 1)  3 O 1.79-1.96
Ti (0.6204, 0.2935, 0.3459) (multiplicity 1)  3 O 1.84-1.99
Ti (0.6371, 0.9192, 0.0693) (multiplicity 1)  5 O 1.98-2.12
Ti (0.7778, 0.0486, 0.8520) (multiplicity 1)  6 O 1.91-2.13
Ti (0.7856, 0.2485, 0.0408) (multiplicity 1)  4 O 1.90-2.00
Ti (0.8071, 0.8407, 0.6555) (multiplicity 1)  5 O 1.86-2.03
Ti (0.8127, 0.0681, 0.2339) (multiplicity 1)  3 O 1.85-2.04
Ti (0.8133, 0.2845, 0.7068) (multiplicity 1)  6 O 1.94-2.08
Ti (0.8293, 0.0508, 0.4876) (multiplicity 1)  4 O 1.86-1.92
Ti (0.8370, 0.5817, 0.6513) (multiplicity 1)  4 O 1.84-2.01
Ti (0.8387, 0.4846, 0.2363) (multiplicity 1)  4 O 1.90-2.06
Ti (0.8691, 0.7840, 0.1773) (multiplicity 1)  5 O 1.97-2.14
Ti (0.8840, 0.7298, 0.8887) (multiplicity 1)  5 O 1.92-2.15
Ti (0.9754, 0.4002, 0.4524) (multiplicity 1)  4 O 1.84-2.05
O (0.0013, 0.6028, 0.9537) (multiplicity 1)  2 Ti 1.84-1.92
O (0.0103, 0.8007, 0.3081) (multiplicity 1)  4 Ti 1.92-2.14
O (0.0306, 0.8294, 0.9394) (multiplicity 1)  3 Ti 1.96-1.99
O (0.1180, 0.4836, 0.3423) (multiplicity 1)  2 Ti 1.83-1.96
O (0.1260, 0.2659, 0.4518) (multiplicity 1)  1 Ti 1.78
O (0.1423, 0.3574, 0.9385) (multiplicity 1)  2 Ti 1.88-2.08
O (0.1498, 0.1172, 0.9762) (multiplicity 1)  4 Ti 2.02-2.13
O (0.1646, 0.1728, 0.7336) (multiplicity 1)  3 Ti 1.92-1.95
O (0.1797, 0.5588, 0.7534) (multiplicity 1)  2 Ti 1.76-1.89
O (0.1936, 0.3440, 0.1614) (multiplicity 1)  2 Ti 1.85-2.05
O (0.2101, 0.0253, 0.5747) (multiplicity 1)  4 Ti 2.01-2.18
O (0.2126, 0.7333, 0.4697) (multiplicity 1)  3 Ti 2.00-2.01
O (0.2211, 0.9758, 0.3643) (multiplicity 1)  3 Ti 1.99-2.16
O (0.2391, 0.8165, 0.1462) (multiplicity 1)  4 Ti 2.06-2.12
O (0.2520, 0.5681, 0.0708) (multiplicity 1)  2 Ti 1.93-2.08
O (0.2569, 0.0515, 0.1621) (multiplicity 1)  3 Ti 1.95-2.06
O (0.3105, 0.7287, 0.8982) (multiplicity 1)  3 Ti 1.98-2.20
O (0.3283, 0.9913, 0.8416) (multiplicity 1)  3 Ti 1.96-2.01
O (0.3571, 0.4807, 0.3957) (multiplicity 1)  2 Ti 1.80-1.92
O (0.3737, 0.2096, 0.5612) (multiplicity 1)  3 Ti 1.83-2.05
O (0.3795, 0.7383, 0.6420) (multiplicity 1)  4 Ti 2.07-2.24
O (0.3960, 0.6252, 0.2249) (multiplicity 1)  3 Ti 1.92-2.04
O (0.3976, 0.2159, 0.0003) (multiplicity 1)  4 Ti 2.00-2.16
O (0.3977, 0.4893, 0.6295) (multiplicity 1)  2 Ti 1.83-1.93
O (0.4114, 0.4623, 0.8792) (multiplicity 1)  3 Ti 1.93-2.13
O (0.4255, 0.2121, 0.3302) (multiplicity 1)  2 Ti 1.88-2.06
O (0.4261, 0.2238, 0.7626) (multiplicity 1)  3 Ti 1.89-1.99
O (0.4292, 0.3875, 0.1464) (multiplicity 1)  3 Ti 1.92-2.01
O (0.4549, 0.9470, 0.6456) (multiplicity 1)  2 Ti 1.96-2.07
O (0.4558, 0.8968, 0.4052) (multiplicity 1)  1 Ti 1.88
O (0.4876, 0.8611, 0.9703) (multiplicity 1)  3 Ti 2.03-2.10
O (0.4906, 0.0276, 0.1437) (multiplicity 1)  3 Ti 1.98-2.00
O (0.5257, 0.6619, 0.4399) (multiplicity 1)  2 Ti 1.87-1.93
O (0.5290, 0.7946, 0.1774) (multiplicity 1)  4 Ti 2.07-2.12
O (0.5387, 0.6569, 0.7937) (multiplicity 1)  3 Ti 1.89-2.07
O (0.5566, 0.6024, 0.0207) (multiplicity 1)  2 Ti 1.79-1.93
O (0.5912, 0.3320, 0.5016) (multiplicity 1)  2 Ti 1.79-1.84
O (0.6010, 0.0745, 0.9363) (multiplicity 1)  2 Ti 1.87-1.98
O (0.6271, 0.3725, 0.7467) (multiplicity 1)  3 Ti 2.00-2.17
O (0.6393, 0.3465, 0.9739) (multiplicity 1)  3 Ti 1.95-2.16
O (0.6419, 0.4611, 0.2717) (multiplicity 1)  3 Ti 1.94-2.03
O (0.6645, 0.2069, 0.1788) (multiplicity 1)  4 Ti 1.98-2.16
O (0.6890, 0.1448, 0.7355) (multiplicity 1)  2 Ti 1.91-2.02
O (0.7056, 0.9320, 0.5289) (multiplicity 1)  3 Ti 1.87-2.03
O (0.7082, 0.6956, 0.6023) (multiplicity 1)  3 Ti 1.84-2.01
O (0.7222, 0.1404, 0.3809) (multiplicity 1)  3 Ti 1.90-2.01
O (0.7325, 0.9177, 0.2227) (multiplicity 1)  3 Ti 1.85-2.05
O (0.7590, 0.8735, 0.8115) (multiplicity 1)  2 Ti 1.86-1.96
O (0.7597, 0.6623, 0.2742) (multiplicity 1)  3 Ti 1.94-2.06
O (0.7795, 0.7800, 0.0294) (multiplicity 1)  3 Ti 1.94-2.04
O (0.7863, 0.5687, 0.8276) (multiplicity 1)  3 Ti 1.96-2.17
O (0.8075, 0.0449, 0.0344) (multiplicity 1)  3 Ti 1.99-2.18
O (0.8376, 0.2319, 0.8762) (multiplicity 1)  4 Ti 1.94-2.11
O (0.8377, 0.4127, 0.5877) (multiplicity 1)  3 Ti 1.94-2.02
O (0.8574, 0.3527, 0.3469) (multiplicity 1)  2 Ti 1.84-1.90
O (0.8989, 0.1739, 0.5842) (multiplicity 1)  3 Ti 1.92-1.97
O (0.9012, 0.3564, 0.1104) (multiplicity 1)  3 Ti 1.90-2.05
O (0.9375, 0.7125, 0.7159) (multiplicity 1)  3 Ti 1.95-2.03
O (0.9486, 0.0163, 0.3599) (multiplicity 1)  1 Ti 1.86
O (0.9561, 0.5843, 0.5040) (multiplicity 1)  3 Ti 1.90-2.05
O (0.9641, 0.9225, 0.5807) (multiplicity 1)  3 Ti 1.93-2.07
O (0.9734, 0.3718, 0.7623) (multiplicity 1)  2 Ti 1.84-2.04
O (0.9792, 0.6162, 0.1757) (multiplicity 1)  4 Ti 2.01-2.18
O (0.9839, 0.0318, 0.8256) (multiplicity 1)  4 Ti 1.90-2.11
O (0.9951, 0.1083, 0.1608) (multiplicity 1)  3 Ti 1.90-2.05

(4)
## Ti9O13 (PBE-GGA)

Data for a relaxed structure of Ti9O13.

## Properties
- energy relative to the elements (meV per atom) = -3126.8
- uncorrected energy (eV per atom) = -8.875
- volume (A^3/atom) = 11.43
- total magnetization (μB per atom) = 0.00

Unit cell a=9.8141 b=2.9190 c=17.7514 alpha=90.00 beta=98.48 gamma=90.00
With the nearest neighbours (Å) after each atom.
Space group C2/m (No. 12)
One atom of each set of equivalent atoms:
Ti (0.0000, 0.0000, 0.0000) (multiplicity 2)  6 O 2.10-2.20
Ti (0.0183, 0.5000, 0.1750) (multiplicity 4)  3 O 1.78-1.98
Ti (0.0682, 0.5000, 0.3721) (multiplicity 4)  5 O 1.85-2.06
Ti (0.1559, 0.0000, 0.5370) (multiplicity 4)  6 O 1.99-2.19
Ti (0.2428, 0.5000, 0.0765) (multiplicity 4)  6 O 1.98-2.13
O (0.0000, 0.5000, 0.5000) (multiplicity 2)  4 Ti 2.15
O (0.0660, 0.0000, 0.6307) (multiplicity 4)  3 Ti 1.96-1.99
O (0.0981, 0.5000, 0.2719) (multiplicity 4)  2 Ti 1.78-1.85
O (0.1149, 0.0000, 0.1162) (multiplicity 4)  5 Ti 2.10-2.20
O (0.1186, 0.0000, 0.8304) (multiplicity 4)  3 Ti 1.98
O (0.1297, 0.5000, 0.9643) (multiplicity 4)  5 Ti 2.10-2.13
O (0.2022, 0.0000, 0.4199) (multiplicity 4)  5 Ti 2.06-2.19

(5)
## TiO2 (PBE-GGA)

Data for a relaxed structure of TiO2.

## Properties
- energy relative to the elements (meV per atom) = -3449.0
- uncorrected energy (eV per atom) = -8.922
- volume (A^3/atom) = 11.16

Unit cell a=18.7076 b=2.9809 c=4.8024 alpha=90.00 beta=90.00 gamma=90.00
With the nearest neighbours (Å) after each atom.
Space group Pnma (No. 62)
One atom of each set of equivalent atoms:
Ti (0.0693, 0.2500, 0.0908) (multiplicity 4)  5 O 1.89-2.03
Ti (0.1881, 0.7500, 0.5905) (multiplicity 4)  5 O 1.89-2.03
O (0.0135, 0.7500, 0.2137) (multiplicity 4)  3 Ti 1.91-2.13
O (0.1191, 0.7500, 0.8776) (multiplicity 4)  3 Ti 1.89-2.03
O (0.1366, 0.2500, 0.3849) (multiplicity 4)  3 Ti 1.89-2.03
O (0.2398, 0.2500, 0.7425) (multiplicity 4)  3 Ti 1.92-2.15

(6)
## Ti2O3 (PBE-GGA)

Data for a relaxed structure of Ti2O3.

## Properties
- energy relative to the elements (meV per atom) = -3233.4
- uncorrected energy (eV per atom) = -8.948
- volume (A^3/atom) = 10.11

Unit cell a=7.6637 b=3.0037 c=13.3324 alpha=90.00 beta=98.96 gamma=90.00
With the nearest neighbours (Å) after each atom.
Space group P2_1/m (No. 11)
One atom of each set of equivalent atoms:
Ti (0.0107, 0.2500, 0.1010) (multiplicity 2)  6 O 2.02-2.16
Ti (0.0428, 0.7500, 0.6175) (multiplicity 2)  7 O 2.05-2.24
Ti (0.3067, 0.2500, 0.4813) (multiplicity 2)  7 O 2.07-2.15
Ti (0.3202, 0.2500, 0.7752) (multiplicity 2)  6 O 2.01-2.10
Ti (0.3409, 0.7500, 0.2805) (multiplicity 2)  6 O 1.97-2.06
Ti (0.3659, 0.2500, 0.0642) (multiplicity 2)  6 O 2.01-2.18
O (0.1148, 0.7500, 0.4668) (multiplicity 2)  5 Ti 2.09-2.16
O (0.1320, 0.2500, 0.9717) (multiplicity 2)  4 Ti 2.01-2.08
O (0.1397, 0.7500, 0.7846) (multiplicity 2)  4 Ti 2.05-2.24
O (0.1899, 0.2500, 0.3242) (multiplicity 2)  4 Ti 2.04-2.15
O (0.2145, 0.7500, 0.1327) (multiplicity 2)  5 Ti 2.06-2.18
O (0.2302, 0.2500, 0.6251) (multiplicity 2)  4 Ti 2.01-2.09
O (0.4469, 0.2500, 0.9219) (multiplicity 2)  4 Ti 2.04-2.09
O (0.4500, 0.7500, 0.4241) (multiplicity 2)  4 Ti 1.97-2.08
O (0.4923, 0.2500, 0.2340) (multiplicity 2)  4 Ti 2.05-2.10

(7)
## Ti4O3 (PBE-GGA)

Data for a relaxed structure of Ti4O3.

## Properties
- energy relative to the elements (meV per atom) = -2435.0
- uncorrected energy (eV per atom) = -8.773
- volume (A^3/atom) = 10.88

Unit cell a=4.2698 b=4.2698 c=8.3554 alpha=90.00 beta=90.00 gamma=90.00
With the nearest neighbours (Å) after each atom.
Space group I4/mmm (No. 139)
One atom of each set of equivalent atoms:
Ti (0.0000, 0.0000, 0.2411) (multiplicity 4)  5 O 2.14-2.16
Ti (0.0000, 0.5000, 0.0000) (multiplicity 4)  4 O 2.09-2.13
O (0.0000, 0.0000, 0.5000) (multiplicity 2)  6 Ti 2.13-2.16
O (0.0000, 0.5000, 0.2500) (multiplicity 4)  6 Ti 2.09-2.14

(8)
## TiO2 (PBE-GGA)

Data for a relaxed structure of TiO2.

## Properties
- energy relative to the elements (meV per atom) = -3330.3
- uncorrected energy (eV per atom) = -8.803
- volume (A^3/atom) = 12.78
- total magnetization (μB per atom) = 0.00

Unit cell a=6.0282 b=6.0282 c=14.6158 alpha=90.00 beta=90.00 gamma=120.00
With the nearest neighbours (Å) after each atom.
Space group P3m1 (No. 156)
One atom of each set of equivalent atoms:
Ti (0.0000, 0.0000, 0.0000) (multiplicity 1)  3 O 1.82
Ti (0.0000, 0.0000, 0.3635) (multiplicity 1)  4 O 1.84-1.93
Ti (0.1777, 0.3555, 0.1553) (multiplicity 3)  3 O 1.84-1.96
Ti (0.3216, 0.1608, 0.8165) (multiplicity 3)  6 O 1.89-2.12
Ti (0.3333, 0.6667, 0.6909) (multiplicity 1)  4 O 1.82-1.96
Ti (0.5109, 0.0217, 0.4837) (multiplicity 3)  3 O 1.84-1.96
O (0.0000, 0.0000, 0.2316) (multiplicity 1)  1 Ti 1.93
O (0.0000, 0.0000, 0.7420) (multiplicity 1)  3 Ti 2.00
O (0.0139, 0.5070, 0.7412) (multiplicity 3)  1 Ti 1.82
O (0.0226, 0.5113, 0.2143) (multiplicity 3)  2 Ti 1.84
O (0.1438, 0.2876, 0.8861) (multiplicity 3)  2 Ti 1.89
O (0.1648, 0.3297, 0.4079) (multiplicity 3)  1 Ti 1.84
O (0.2868, 0.1434, 0.0704) (multiplicity 3)  1 Ti 1.82
O (0.3333, 0.6667, 0.0800) (multiplicity 1)  3 Ti 1.96
O (0.3333, 0.6667, 0.5570) (multiplicity 1)  4 Ti 1.96-2.14
O (0.3683, 0.1842, 0.5471) (multiplicity 3)  2 Ti 1.84
O (0.6667, 0.3333, 0.4084) (multiplicity 1)  3 Ti 1.96
O (0.6667, 0.3333, 0.8694) (multiplicity 1)  3 Ti 1.96

What is the uncorrected energy in the eighth record?
-8.803 eV per atom